A plane-wave DFT calculation with r²SCAN was carried out for CeTi2Al20 after structural relaxation.

a = 14.572 Å, b = 14.572 Å, c = 14.572 Å
α = 90.00°, β = 90.00°, γ = 90.00°
Space group Fd-3m (No. 227, origin choice 2)
Unique sites:
1 Ce 0.125 0.125 0.125 x8
2 Ti 0.000 0.000 0.500 x16
3 Al 0.000 0.000 0.000 x16
4 Al 0.013 0.375 0.875 x48
5 Al 0.059 0.059 0.325 x96

Formation energy: -26 kJ per mole of atoms
Mass density: 3.3 g/cm³